NdBPd3: optimized geometry, GGA-PBE.

Cell: 4.383 4.383 4.383 Å, 90.00 90.00 90.00°
Space group Pm-3m (No. 221)
One atom of each set of equivalent atoms:
Nd1 0.000 0.000 0.000 (multiplicity 1)
B1 0.500 0.500 0.500 (multiplicity 1)
Pd1 0.000 0.500 0.500 (multiplicity 3)

Spin magnetization (μB/cell): 0.0
E_tot (Ry per atom): -0.4377
DFT formation energy (meV/atom): -558